1.
# Th7Te12 r²SCAN optimized geometry
# Space-group type = P-6, No. 174
# Crystal system = hexagonal
# ΔH_f (0 K) = -1451 meV per atom
# Final energy = -44.57 eV per atom
data_Th7Te12
_chemical_formula_sum 'Th7 Te12'
_symmetry_space_group_name_H-M 'P 1'
_symmetry_Int_Tables_number 1
_cell_length_a 12.567
_cell_length_b 12.567
_cell_length_c 4.388
_cell_angle_alpha 90.00
_cell_angle_beta 90.00
_cell_angle_gamma 120.00
loop_
_symmetry_equiv_pos_as_xyz
'x,y,z'
loop_
_atom_site_label
_atom_site_type_symbol
_atom_site_fract_x
_atom_site_fract_y
_atom_site_fract_z
Th1 Th 0.000 0.000 0.000
Th2 Th 0.163 0.451 0.500
Th3 Th 0.288 0.837 0.500
Th4 Th 0.439 0.277 0.000
Th5 Th 0.549 0.712 0.500
Th6 Th 0.723 0.162 0.000
Th7 Th 0.838 0.561 0.000
Te1 Te 0.009 0.256 0.000
Te2 Te 0.133 0.625 0.000
Te3 Te 0.218 0.214 0.500
Te4 Te 0.247 0.991 0.000
Te5 Te 0.375 0.508 0.000
Te6 Te 0.492 0.867 0.000
Te7 Te 0.522 0.135 0.500
Te8 Te 0.613 0.478 0.500
Te9 Te 0.744 0.753 0.000
Te10 Te 0.786 0.005 0.500
Te11 Te 0.865 0.387 0.500
Te12 Te 0.995 0.782 0.500

***

2.
# Pr2TlHg r²SCAN optimized geometry
# Space-group type = Fm-3m, No. 225
# Crystal system = cubic
# ΔH_f (0 K) = -537 meV per atom
# Final energy = -40.88 eV per atom
data_Pr2TlHg
_chemical_formula_sum 'Pr8 Tl4 Hg4'
_symmetry_space_group_name_H-M 'P 1'
_symmetry_Int_Tables_number 1
_cell_length_a 7.777
_cell_length_b 7.777
_cell_length_c 7.777
_cell_angle_alpha 90.00
_cell_angle_beta 90.00
_cell_angle_gamma 90.00
loop_
_symmetry_equiv_pos_as_xyz
'x,y,z'
loop_
_atom_site_label
_atom_site_type_symbol
_atom_site_fract_x
_atom_site_fract_y
_atom_site_fract_z
Pr1 Pr 0.250 0.250 0.250
Pr2 Pr 0.250 0.250 0.750
Pr3 Pr 0.250 0.750 0.250
Pr4 Pr 0.250 0.750 0.750
Pr5 Pr 0.750 0.250 0.250
Pr6 Pr 0.750 0.250 0.750
Pr7 Pr 0.750 0.750 0.250
Pr8 Pr 0.750 0.750 0.750
Tl1 Tl 0.000 0.000 0.000
Tl2 Tl 0.000 0.500 0.500
Tl3 Tl 0.500 0.000 0.500
Tl4 Tl 0.500 0.500 0.000
Hg1 Hg 0.000 0.000 0.500
Hg2 Hg 0.000 0.500 0.000
Hg3 Hg 0.500 0.000 0.000
Hg4 Hg 0.500 0.500 0.500

***

3.
# NbGa3Ni12 r²SCAN optimized geometry
# Space-group type = P4/mmm, No. 123
# Crystal system = tetragonal
# ΔH_f (0 K) = -282 meV per atom
# Final energy = -12.96 eV per atom
data_NbGa3Ni12
_chemical_formula_sum 'Nb1 Ga3 Ni12'
_symmetry_space_group_name_H-M 'P 1'
_symmetry_Int_Tables_number 1
_cell_length_a 3.579
_cell_length_b 3.579
_cell_length_c 14.146
_cell_angle_alpha 90.00
_cell_angle_beta 90.00
_cell_angle_gamma 90.00
loop_
_symmetry_equiv_pos_as_xyz
'x,y,z'
loop_
_atom_site_label
_atom_site_type_symbol
_atom_site_fract_x
_atom_site_fract_y
_atom_site_fract_z
Nb1 Nb 0.000 0.000 0.000
Ga1 Ga 0.000 0.000 0.256
Ga2 Ga 0.000 0.000 0.500
Ga3 Ga 0.000 0.000 0.744
Ni1 Ni 0.000 0.500 0.130
Ni2 Ni 0.000 0.500 0.377
Ni3 Ni 0.000 0.500 0.623
Ni4 Ni 0.000 0.500 0.870
Ni5 Ni 0.500 0.000 0.130
Ni6 Ni 0.500 0.000 0.377
Ni7 Ni 0.500 0.000 0.623
Ni8 Ni 0.500 0.000 0.870
Ni9 Ni 0.500 0.500 0.000
Ni10 Ni 0.500 0.500 0.254
Ni11 Ni 0.500 0.500 0.500
Ni12 Ni 0.500 0.500 0.746

***

4.
# CaEu2Ge4O12 r²SCAN optimized geometry
# Space-group type = Cmme, No. 67
# Crystal system = orthorhombic
# ΔH_f (0 K) = -2380 meV per atom
# Final energy = -13.50 eV per atom
data_CaEu2Ge4O12
_chemical_formula_sum 'Ca2 Eu4 Ge8 O24'
_symmetry_space_group_name_H-M 'P 1'
_symmetry_Int_Tables_number 1
_cell_length_a 10.126
_cell_length_b 10.126
_cell_length_c 5.153
_cell_angle_alpha 90.00
_cell_angle_beta 90.00
_cell_angle_gamma 90.06
loop_
_symmetry_equiv_pos_as_xyz
'x,y,z'
loop_
_atom_site_label
_atom_site_type_symbol
_atom_site_fract_x
_atom_site_fract_y
_atom_site_fract_z
Ca1 Ca 0.000 0.500 0.000
Ca2 Ca 0.500 0.000 0.000
Eu1 Eu 0.000 0.000 0.000
Eu2 Eu 0.250 0.250 0.000
Eu3 Eu 0.500 0.500 0.000
Eu4 Eu 0.750 0.750 0.000
Ge1 Ge 0.024 0.748 0.504
Ge2 Ge 0.248 0.524 0.504
Ge3 Ge 0.252 0.976 0.504
Ge4 Ge 0.476 0.752 0.504
Ge5 Ge 0.524 0.248 0.496
Ge6 Ge 0.748 0.024 0.496
Ge7 Ge 0.752 0.476 0.496
Ge8 Ge 0.976 0.252 0.496
O1 O 0.057 0.174 0.751
O2 O 0.063 0.322 0.246
O3 O 0.128 0.628 0.350
O4 O 0.128 0.872 0.657
O5 O 0.174 0.057 0.249
O6 O 0.178 0.437 0.754
O7 O 0.322 0.063 0.754
O8 O 0.326 0.443 0.249
O9 O 0.372 0.628 0.657
O10 O 0.372 0.872 0.350
O11 O 0.437 0.178 0.246
O12 O 0.443 0.326 0.751
O13 O 0.557 0.674 0.249
O14 O 0.563 0.822 0.754
O15 O 0.628 0.128 0.650
O16 O 0.628 0.372 0.343
O17 O 0.674 0.557 0.751
O18 O 0.678 0.937 0.246
O19 O 0.822 0.563 0.246
O20 O 0.826 0.943 0.751
O21 O 0.872 0.128 0.343
O22 O 0.872 0.372 0.650
O23 O 0.937 0.678 0.754
O24 O 0.943 0.826 0.249

***

5.
# DyInCu r²SCAN optimized geometry
# Space-group type = P-62m, No. 189
# Crystal system = hexagonal
# ΔH_f (0 K) = -504 meV per atom
# Final energy = -22.31 eV per atom
data_DyInCu
_chemical_formula_sum 'Dy3 In3 Cu3'
_symmetry_space_group_name_H-M 'P 1'
_symmetry_Int_Tables_number 1
_cell_length_a 7.419
_cell_length_b 7.419
_cell_length_c 3.916
_cell_angle_alpha 90.00
_cell_angle_beta 90.00
_cell_angle_gamma 120.00
loop_
_symmetry_equiv_pos_as_xyz
'x,y,z'
loop_
_atom_site_label
_atom_site_type_symbol
_atom_site_fract_x
_atom_site_fract_y
_atom_site_fract_z
Dy1 Dy 0.000 0.411 0.000
Dy2 Dy 0.411 0.000 0.000
Dy3 Dy 0.589 0.589 0.000
In1 In 0.000 0.746 0.500
In2 In 0.254 0.254 0.500
In3 In 0.746 0.000 0.500
Cu1 Cu 0.000 0.000 0.000
Cu2 Cu 0.333 0.667 0.500
Cu3 Cu 0.667 0.333 0.500

***

6.
# Sr3Ga2P4 r²SCAN optimized geometry
# Space-group type = C2/c, No. 15
# Crystal system = monoclinic
# ΔH_f (0 K) = -1022 meV per atom
# Final energy = -12.61 eV per atom
data_Sr3Ga2P4
_chemical_formula_sum 'Sr6 Ga4 P8'
_symmetry_space_group_name_H-M 'P 1'
_symmetry_Int_Tables_number 1
_cell_length_a 8.355
_cell_length_b 8.355
_cell_length_c 6.660
_cell_angle_alpha 90.32
_cell_angle_beta 90.32
_cell_angle_gamma 75.44
loop_
_symmetry_equiv_pos_as_xyz
'x,y,z'
loop_
_atom_site_label
_atom_site_type_symbol
_atom_site_fract_x
_atom_site_fract_y
_atom_site_fract_z
Sr1 Sr 0.100 0.900 0.750
Sr2 Sr 0.248 0.505 0.461
Sr3 Sr 0.495 0.752 0.039
Sr4 Sr 0.505 0.248 0.961
Sr5 Sr 0.752 0.495 0.539
Sr6 Sr 0.900 0.100 0.250
Ga1 Ga 0.083 0.324 0.917
Ga2 Ga 0.324 0.083 0.417
Ga3 Ga 0.676 0.917 0.583
Ga4 Ga 0.917 0.676 0.083
P1 P 0.077 0.240 0.576
P2 P 0.203 0.557 0.977
P3 P 0.240 0.077 0.076
P4 P 0.443 0.797 0.523
P5 P 0.557 0.203 0.477
P6 P 0.760 0.923 0.924
P7 P 0.797 0.443 0.023
P8 P 0.923 0.760 0.424

***

7.
# Mo5O12F3 r²SCAN optimized geometry
# Space-group type = P1, No. 1
# Crystal system = triclinic
# ΔH_f (0 K) = -2264 meV per atom
# Final energy = -12.83 eV per atom
data_Mo5O12F3
_chemical_formula_sum 'Mo5 O12 F3'
_symmetry_space_group_name_H-M 'P 1'
_symmetry_Int_Tables_number 1
_cell_length_a 5.471
_cell_length_b 6.627
_cell_length_c 8.406
_cell_angle_alpha 76.22
_cell_angle_beta 71.39
_cell_angle_gamma 89.16
loop_
_symmetry_equiv_pos_as_xyz
'x,y,z'
loop_
_atom_site_label
_atom_site_type_symbol
_atom_site_fract_x
_atom_site_fract_y
_atom_site_fract_z
Mo1 Mo 0.000 0.000 0.000
Mo2 Mo 0.115 0.789 0.607
Mo3 Mo 0.353 0.586 0.206
Mo4 Mo 0.584 0.370 0.812
Mo5 Mo 0.704 0.168 0.414
O1 O 0.056 0.883 0.809
O2 O 0.174 0.787 0.106
O3 O 0.252 0.681 0.408
O4 O 0.279 0.180 0.910
O5 O 0.439 0.983 0.506
O6 O 0.458 0.483 0.008
O7 O 0.544 0.379 0.308
O8 O 0.654 0.281 0.607
O9 O 0.781 0.190 0.903
O10 O 0.855 0.082 0.208
O11 O 0.855 0.584 0.707
O12 O 0.938 0.979 0.510
F1 F 0.048 0.385 0.305
F2 F 0.355 0.583 0.708
F3 F 0.667 0.780 0.110

***

8.
# CdP14Pb r²SCAN optimized geometry
# Space-group type = Pnma, No. 62
# Crystal system = orthorhombic
# ΔH_f (0 K) = -78 meV per atom
# Final energy = -12.73 eV per atom
data_CdP14Pb
_chemical_formula_sum 'Cd4 P56 Pb4'
_symmetry_space_group_name_H-M 'P 1'
_symmetry_Int_Tables_number 1
_cell_length_a 13.250
_cell_length_b 9.852
_cell_length_c 11.082
_cell_angle_alpha 90.00
_cell_angle_beta 90.00
_cell_angle_gamma 90.00
loop_
_symmetry_equiv_pos_as_xyz
'x,y,z'
loop_
_atom_site_label
_atom_site_type_symbol
_atom_site_fract_x
_atom_site_fract_y
_atom_site_fract_z
Cd1 Cd 0.180 0.250 0.004
Cd2 Cd 0.320 0.750 0.504
Cd3 Cd 0.680 0.250 0.496
Cd4 Cd 0.820 0.750 0.996
P1 P 0.026 0.576 0.154
P2 P 0.026 0.924 0.154
P3 P 0.029 0.250 0.163
P4 P 0.051 0.750 0.277
P5 P 0.061 0.083 0.288
P6 P 0.061 0.417 0.288
P7 P 0.079 0.579 0.590
P8 P 0.079 0.921 0.590
P9 P 0.087 0.250 0.607
P10 P 0.137 0.049 0.863
P11 P 0.137 0.451 0.863
P12 P 0.171 0.750 0.654
P13 P 0.177 0.077 0.674
P14 P 0.177 0.423 0.674
P15 P 0.323 0.577 0.174
P16 P 0.323 0.923 0.174
P17 P 0.329 0.250 0.154
P18 P 0.363 0.549 0.363
P19 P 0.363 0.951 0.363
P20 P 0.413 0.750 0.107
P21 P 0.421 0.079 0.090
P22 P 0.421 0.421 0.090
P23 P 0.439 0.583 0.788
P24 P 0.439 0.917 0.788
P25 P 0.449 0.250 0.777
P26 P 0.471 0.750 0.663
P27 P 0.474 0.076 0.654
P28 P 0.474 0.424 0.654
P29 P 0.526 0.576 0.346
P30 P 0.526 0.924 0.346
P31 P 0.529 0.250 0.337
P32 P 0.551 0.750 0.223
P33 P 0.561 0.083 0.212
P34 P 0.561 0.417 0.212
P35 P 0.579 0.579 0.910
P36 P 0.579 0.921 0.910
P37 P 0.587 0.250 0.893
P38 P 0.637 0.049 0.637
P39 P 0.637 0.451 0.637
P40 P 0.671 0.750 0.846
P41 P 0.677 0.077 0.826
P42 P 0.677 0.423 0.826
P43 P 0.823 0.577 0.326
P44 P 0.823 0.923 0.326
P45 P 0.829 0.250 0.346
P46 P 0.863 0.549 0.137
P47 P 0.863 0.951 0.137
P48 P 0.913 0.750 0.393
P49 P 0.921 0.079 0.410
P50 P 0.921 0.421 0.410
P51 P 0.939 0.583 0.712
P52 P 0.939 0.917 0.712
P53 P 0.949 0.250 0.723
P54 P 0.971 0.750 0.837
P55 P 0.974 0.076 0.846
P56 P 0.974 0.424 0.846
Pb1 Pb 0.173 0.750 0.907
Pb2 Pb 0.327 0.250 0.407
Pb3 Pb 0.673 0.750 0.593
Pb4 Pb 0.827 0.250 0.093